Entry 1:
## Sr3Sn13Rh4 (PBE)

Data for an optimized crystal structure of Sr3Sn13Rh4.

Unit cell a=9.9430 b=9.9430 c=9.9430 alpha=90.00 beta=90.00 gamma=90.00
Closest atoms and distances in Å follow each position.
Fractional coordinates of all 40 atoms:
Sr1 0.0000 0.5000 0.7500  12 Sn 3.49-3.53, 4 Rh 3.52
Sr2 0.5000 0.2500 0.0000  12 Sn 3.49-3.53, 4 Rh 3.52
Sr3 0.7500 0.0000 0.5000  12 Sn 3.49-3.53, 4 Rh 3.52
Sr4 0.0000 0.5000 0.2500  12 Sn 3.49-3.53, 4 Rh 3.52
Sr5 0.5000 0.7500 0.0000  12 Sn 3.49-3.53, 4 Rh 3.52
Sr6 0.2500 0.0000 0.5000  12 Sn 3.49-3.53, 4 Rh 3.52
Sn1 0.5000 0.5000 0.5000  12 Sn 3.34
Sn2 0.0000 0.0000 0.0000  12 Sn 3.34
Sn3 0.7994 0.3470 0.5000  2 Rh 2.71
Sn4 0.6530 0.5000 0.7994  2 Rh 2.71
Sn5 0.5000 0.2006 0.6530  2 Rh 2.71
Sn6 0.2006 0.6530 0.5000  2 Rh 2.71
Sn7 0.3470 0.5000 0.2006  2 Rh 2.71
Sn8 0.5000 0.7994 0.3470  2 Rh 2.71
Sn9 0.7994 0.6530 0.5000  2 Rh 2.71
Sn10 0.6530 0.5000 0.2006  2 Rh 2.71
Sn11 0.2006 0.3470 0.5000  2 Rh 2.71
Sn12 0.3470 0.5000 0.7994  2 Rh 2.71
Sn13 0.5000 0.7994 0.6530  2 Rh 2.71
Sn14 0.5000 0.2006 0.3470  2 Rh 2.71
Sn15 0.2994 0.0000 0.8470  2 Rh 2.71
Sn16 0.1530 0.2994 0.0000  2 Rh 2.71
Sn17 0.0000 0.1530 0.7006  2 Rh 2.71
Sn18 0.7006 0.0000 0.1530  2 Rh 2.71
Sn19 0.8470 0.7006 0.0000  2 Rh 2.71
Sn20 0.0000 0.8470 0.2994  2 Rh 2.71
Sn21 0.2994 0.0000 0.1530  2 Rh 2.71
Sn22 0.1530 0.7006 0.0000  2 Rh 2.71
Sn23 0.7006 0.0000 0.8470  2 Rh 2.71
Sn24 0.8470 0.2994 0.0000  2 Rh 2.71
Sn25 0.0000 0.1530 0.2994  2 Rh 2.71
Sn26 0.0000 0.8470 0.7006  2 Rh 2.71
Rh1 0.7500 0.2500 0.7500  6 Sn 2.71
Rh2 0.2500 0.7500 0.2500  6 Sn 2.71
Rh3 0.7500 0.7500 0.2500  6 Sn 2.71
Rh4 0.2500 0.2500 0.7500  6 Sn 2.71
Rh5 0.2500 0.7500 0.7500  6 Sn 2.71
Rh6 0.7500 0.2500 0.2500  6 Sn 2.71
Rh7 0.2500 0.2500 0.2500  6 Sn 2.71
Rh8 0.7500 0.7500 0.7500  6 Sn 2.71

Output
Space-group type   Pm-3n

Entry 2:
## TbSnRh2 (PBE)

Data for an optimized crystal structure of TbSnRh2.

Unit cell a=4.7212 b=4.7212 c=4.7212 alpha=60.00 beta=60.00 gamma=60.00
Closest atoms and distances in Å follow each position.
Fractional coordinates of all 4 atoms:
Tb1 0.0000 0.0000 0.0000  8 Rh 2.89
Sn1 0.5000 0.5000 0.5000  8 Rh 2.89
Rh1 0.7500 0.7500 0.7500  4 Sn 2.89, 4 Tb 2.89
Rh2 0.2500 0.2500 0.2500  4 Sn 2.89, 4 Tb 2.89

Output
Space-group type   Fm-3m

Entry 3:
## Tb2Sn5Rh3 (PBE)

Data for an optimized crystal structure of Tb2Sn5Rh3.

Unit cell a=13.4452 b=13.4452 c=7.2421 alpha=90.00 beta=90.00 gamma=160.88
Closest atoms and distances in Å follow each position.
Fractional coordinates of all 20 atoms:
Tb1 0.1717 0.8283 0.7557  8 Sn 3.17-3.52, 2 Rh 3.26
Tb2 0.8283 0.1717 0.2557  8 Sn 3.17-3.52, 2 Rh 3.26
Tb3 0.4765 0.5235 0.7344  3 Rh 2.86-3.12, 2 Sn 3.16
Tb4 0.5235 0.4765 0.2344  3 Rh 2.86-3.12, 2 Sn 3.16
Sn1 0.8797 0.1203 0.7343  4 Rh 2.74-2.91
Sn2 0.1203 0.8797 0.2343  4 Rh 2.74-2.91
Sn3 0.7054 0.2946 0.0504  4 Rh 2.67-2.80
Sn4 0.2946 0.7054 0.5504  4 Rh 2.67-2.80
Sn5 0.5969 0.4031 0.6096  3 Rh 2.64-2.70
Sn6 0.4031 0.5969 0.1096  3 Rh 2.64-2.70
Sn7 0.9524 0.0476 0.4019  4 Rh 2.72-2.78
Sn8 0.0476 0.9524 0.9019  4 Rh 2.72-2.78
Sn9 0.2900 0.7100 0.9764  3 Rh 2.73-2.74
Sn10 0.7100 0.2900 0.4764  3 Rh 2.73-2.74
Rh1 0.0501 0.9499 0.5184  5 Sn 2.64-2.78
Rh2 0.9499 0.0501 0.0184  5 Sn 2.64-2.78
Rh3 0.7767 0.2233 0.7656  7 Sn 2.73-2.80
Rh4 0.2233 0.7767 0.2656  7 Sn 2.73-2.80
Rh5 0.3936 0.6064 0.4813  6 Sn 2.67-2.91, 1 Tb 2.86
Rh6 0.6064 0.3936 0.9813  6 Sn 2.67-2.91, 1 Tb 2.86

Output
Space-group type   Cmc2_1

Entry 4:
## TbSnRh (PBE)

Data for an optimized crystal structure of TbSnRh.

Unit cell a=3.8515 b=7.6117 c=7.6117 alpha=120.00 beta=90.00 gamma=90.00
Closest atoms and distances in Å follow each position.
Fractional coordinates of all 9 atoms:
Tb1 0.5000 0.0000 0.5933  5 Rh 3.01-3.10, 6 Sn 3.18-3.33
Tb2 0.5000 0.5933 0.0000  5 Rh 3.01-3.10, 6 Sn 3.18-3.33
Tb3 0.5000 0.4067 0.4067  5 Rh 3.01-3.10, 6 Sn 3.18-3.33
Sn1 0.0000 0.0000 0.2606  4 Rh 2.76-2.85
Sn2 0.0000 0.2606 0.0000  4 Rh 2.76-2.85
Sn3 0.0000 0.7394 0.7394  4 Rh 2.76-2.85
Rh1 0.0000 0.3333 0.6667  3 Sn 2.85, 6 Tb 3.01
Rh2 0.0000 0.6667 0.3333  3 Sn 2.85, 6 Tb 3.01
Rh3 0.5000 0.0000 0.0000  6 Sn 2.76, 3 Tb 3.10

Output
Space-group type   P-62m

Entry 5:
## Tb5Sn18Rh6 (PBE)

Data for an optimized crystal structure of Tb5Sn18Rh6.

Unit cell a=9.9178 b=9.9178 c=9.9178 alpha=60.00 beta=60.00 gamma=60.00
Closest atoms and distances in Å follow each position.
Fractional coordinates of all 29 atoms:
Tb1 0.8697 0.8697 0.3908  4 Sn 2.91-3.17, 3 Rh 3.05
Tb2 0.8697 0.3908 0.8697  4 Sn 2.91-3.17, 3 Rh 3.05
Tb3 0.3908 0.8697 0.8697  4 Sn 2.91-3.17, 3 Rh 3.05
Tb4 0.8697 0.8697 0.8697  4 Sn 2.91-3.17, 3 Rh 3.05
Tb5 0.5000 0.5000 0.5000  12 Sn 3.47, 6 Rh 3.56
Sn1 0.0880 0.0880 0.7359  3 Rh 2.83
Sn2 0.0880 0.7359 0.0880  3 Rh 2.83
Sn3 0.7359 0.0880 0.0880  3 Rh 2.83
Sn4 0.0880 0.0880 0.0880  3 Rh 2.83
Sn5 0.2500 0.2500 0.2500  16 Sn 3.70-3.94
Sn6 0.4918 0.8579 0.1586  2 Rh 2.69, 1 Sn 2.98
Sn7 0.4918 0.4918 0.1586  2 Rh 2.69, 1 Sn 2.98
Sn8 0.8579 0.4918 0.1586  2 Rh 2.69, 1 Sn 2.98
Sn9 0.4918 0.1586 0.8579  2 Rh 2.69, 1 Sn 2.98
Sn10 0.8579 0.1586 0.4918  2 Rh 2.69, 1 Sn 2.98
Sn11 0.4918 0.1586 0.4918  2 Rh 2.69, 1 Sn 2.98
Sn12 0.1586 0.4918 0.4918  2 Rh 2.69, 1 Sn 2.98
Sn13 0.1586 0.8579 0.4918  2 Rh 2.69, 1 Sn 2.98
Sn14 0.1586 0.4918 0.8579  2 Rh 2.69, 1 Sn 2.98
Sn15 0.8579 0.4918 0.4918  2 Rh 2.69, 1 Sn 2.98
Sn16 0.4918 0.4918 0.8579  2 Rh 2.69, 1 Sn 2.98
Sn17 0.4918 0.8579 0.4918  2 Rh 2.69, 1 Sn 2.98
Sn18 0.7500 0.7500 0.7500  4 Tb 2.91
Rh1 0.7536 0.7536 0.2464  6 Sn 2.69-2.83
Rh2 0.2464 0.7536 0.2464  6 Sn 2.69-2.83
Rh3 0.7536 0.2464 0.2464  6 Sn 2.69-2.83
Rh4 0.2464 0.2464 0.7536  6 Sn 2.69-2.83
Rh5 0.7536 0.2464 0.7536  6 Sn 2.69-2.83
Rh6 0.2464 0.7536 0.7536  6 Sn 2.69-2.83

Output
Space-group type   F-43m

Entry 6:
## TiSnRh (PBE)

Data for an optimized crystal structure of TiSnRh.

Unit cell a=4.3778 b=4.3778 c=4.3778 alpha=60.00 beta=60.00 gamma=60.00
Closest atoms and distances in Å follow each position.
Fractional coordinates of all 3 atoms:
Ti1 0.0000 0.0000 0.0000  4 Rh 2.68
Sn1 0.5000 0.5000 0.5000  4 Rh 2.68
Rh1 0.2500 0.2500 0.2500  4 Sn 2.68, 4 Ti 2.68

Output
Space-group type   F-43m

Entry 7:
## TiSnRh (PBE)

Data for an optimized crystal structure of TiSnRh.

Unit cell a=4.4014 b=4.4014 c=4.4014 alpha=60.00 beta=60.00 gamma=60.00
Closest atoms and distances in Å follow each position.
Fractional coordinates of all 3 atoms:
Ti1 0.2500 0.2500 0.2500  4 Sn 2.70, 4 Rh 2.70
Sn1 0.0000 0.0000 0.0000  4 Ti 2.70
Rh1 0.5000 0.5000 0.5000  4 Ti 2.70

Output
Space-group type   F-43m

Entry 8:
## TmSnRh (PBE)

Data for an optimized crystal structure of TmSnRh.

Unit cell a=7.5894 b=7.5894 c=3.7452 alpha=90.00 beta=90.00 gamma=120.00
Closest atoms and distances in Å follow each position.
Fractional coordinates of all 9 atoms:
Tm1 0.0000 0.4037 0.0000  5 Rh 2.97-3.06, 6 Sn 3.13-3.28
Tm2 0.5963 0.5963 0.0000  5 Rh 2.97-3.06, 6 Sn 3.13-3.28
Tm3 0.4037 0.0000 0.0000  5 Rh 2.97-3.06, 6 Sn 3.13-3.28
Sn1 0.2653 0.2653 0.5000  4 Rh 2.75-2.82
Sn2 0.0000 0.7347 0.5000  4 Rh 2.75-2.82
Sn3 0.7347 0.0000 0.5000  4 Rh 2.75-2.82
Rh1 0.6667 0.3333 0.5000  3 Sn 2.82, 6 Tm 2.97
Rh2 0.3333 0.6667 0.5000  3 Sn 2.82, 6 Tm 2.97
Rh3 0.0000 0.0000 0.0000  6 Sn 2.75, 3 Tm 3.06

Output
Space-group type   P-62m

Entry 9:
## TmSnRh2 (PBE)

Data for an optimized crystal structure of TmSnRh2.

Unit cell a=4.6730 b=4.6730 c=4.6730 alpha=60.00 beta=60.00 gamma=60.00
Closest atoms and distances in Å follow each position.
Fractional coordinates of all 4 atoms:
Tm1 0.0000 0.0000 0.0000  8 Rh 2.86
Sn1 0.5000 0.5000 0.5000  8 Rh 2.86
Rh1 0.2500 0.2500 0.2500  4 Sn 2.86, 4 Tm 2.86
Rh2 0.7500 0.7500 0.7500  4 Sn 2.86, 4 Tm 2.86

Output
Space-group type   Fm-3m

Entry 10:
## U2SnRh2 (PBE)

Data for an optimized crystal structure of U2SnRh2.

Unit cell a=7.6459 b=7.6459 c=3.5885 alpha=90.00 beta=90.00 gamma=90.00
Closest atoms and distances in Å follow each position.
Fractional coordinates of all 10 atoms:
U1 0.3313 0.1687 0.5000  6 Rh 2.77-2.95
U2 0.6687 0.8313 0.5000  6 Rh 2.77-2.95
U3 0.1687 0.6687 0.5000  6 Rh 2.77-2.95
U4 0.8313 0.3313 0.5000  6 Rh 2.77-2.95
Sn1 0.0000 0.0000 0.0000  4 Rh 2.97
Sn2 0.5000 0.5000 0.0000  4 Rh 2.97
Rh1 0.6356 0.1356 0.0000  6 U 2.77-2.95, 1 Rh 2.93, 2 Sn 2.97
Rh2 0.8644 0.6356 0.0000  6 U 2.77-2.95, 1 Rh 2.93, 2 Sn 2.97
Rh3 0.3644 0.8644 0.0000  6 U 2.77-2.95, 1 Rh 2.93, 2 Sn 2.97
Rh4 0.1356 0.3644 0.0000  6 U 2.77-2.95, 1 Rh 2.93, 2 Sn 2.97

Output
Space-group type   P4/mbm

Entry 11:
## U3Sn13Rh4 (PBE)

Data for an optimized crystal structure of U3Sn13Rh4.

Unit cell a=9.7366 b=9.7366 c=9.7366 alpha=90.00 beta=90.00 gamma=90.00
Closest atoms and distances in Å follow each position.
Fractional coordinates of all 40 atoms:
U1 0.0000 0.2500 0.5000  12 Sn 3.39-3.44, 4 Rh 3.44
U2 0.0000 0.7500 0.5000  12 Sn 3.39-3.44, 4 Rh 3.44
U3 0.5000 0.0000 0.7500  12 Sn 3.39-3.44, 4 Rh 3.44
U4 0.5000 0.0000 0.2500  12 Sn 3.39-3.44, 4 Rh 3.44
U5 0.7500 0.5000 0.0000  12 Sn 3.39-3.44, 4 Rh 3.44
U6 0.2500 0.5000 0.0000  12 Sn 3.39-3.44, 4 Rh 3.44
Sn1 0.5000 0.3483 0.1890  2 Rh 2.68, 1 Sn 2.95
Sn2 0.8110 0.5000 0.3483  2 Rh 2.68, 1 Sn 2.95
Sn3 0.1890 0.5000 0.3483  2 Rh 2.68, 1 Sn 2.95
Sn4 0.6517 0.1890 0.5000  2 Rh 2.68, 1 Sn 2.95
Sn5 0.3483 0.1890 0.5000  2 Rh 2.68, 1 Sn 2.95
Sn6 0.5000 0.6517 0.8110  2 Rh 2.68, 1 Sn 2.95
Sn7 0.0000 0.0000 0.0000  12 Sn 3.37
Sn8 0.5000 0.5000 0.5000  12 Sn 3.37
Sn9 0.0000 0.3110 0.1517  2 Rh 2.68, 1 Sn 2.95
Sn10 0.5000 0.3483 0.8110  2 Rh 2.68, 1 Sn 2.95
Sn11 0.5000 0.6517 0.1890  2 Rh 2.68, 1 Sn 2.95
Sn12 0.6517 0.8110 0.5000  2 Rh 2.68, 1 Sn 2.95
Sn13 0.3483 0.8110 0.5000  2 Rh 2.68, 1 Sn 2.95
Sn14 0.1890 0.5000 0.6517  2 Rh 2.68, 1 Sn 2.95
Sn15 0.8110 0.5000 0.6517  2 Rh 2.68, 1 Sn 2.95
Sn16 0.1517 0.0000 0.3110  2 Rh 2.68, 1 Sn 2.95
Sn17 0.3110 0.1517 0.0000  2 Rh 2.68, 1 Sn 2.95
Sn18 0.6890 0.8483 0.0000  2 Rh 2.68, 1 Sn 2.95
Sn19 0.1517 0.0000 0.6890  2 Rh 2.68, 1 Sn 2.95
Sn20 0.6890 0.1517 0.0000  2 Rh 2.68, 1 Sn 2.95
Sn21 0.8483 0.0000 0.3110  2 Rh 2.68, 1 Sn 2.95
Sn22 0.8483 0.0000 0.6890  2 Rh 2.68, 1 Sn 2.95
Sn23 0.3110 0.8483 0.0000  2 Rh 2.68, 1 Sn 2.95
Sn24 0.0000 0.6890 0.8483  2 Rh 2.68, 1 Sn 2.95
Sn25 0.0000 0.3110 0.8483  2 Rh 2.68, 1 Sn 2.95
Sn26 0.0000 0.6890 0.1517  2 Rh 2.68, 1 Sn 2.95
Rh1 0.2500 0.2500 0.2500  6 Sn 2.68
Rh2 0.7500 0.2500 0.2500  6 Sn 2.68
Rh3 0.2500 0.2500 0.7500  6 Sn 2.68
Rh4 0.2500 0.7500 0.2500  6 Sn 2.68
Rh5 0.7500 0.7500 0.7500  6 Sn 2.68
Rh6 0.2500 0.7500 0.7500  6 Sn 2.68
Rh7 0.7500 0.7500 0.2500  6 Sn 2.68
Rh8 0.7500 0.2500 0.7500  6 Sn 2.68

Output
Space-group type   Pm-3n

Entry 12:
## USnRh (PBE)

Data for an optimized crystal structure of USnRh.

Unit cell a=7.3666 b=7.3666 c=4.0756 alpha=90.00 beta=90.00 gamma=120.00
Closest atoms and distances in Å follow each position.
Fractional coordinates of all 9 atoms:
U1 0.4189 0.4189 0.5000  5 Rh 3.01-3.09, 2 Sn 3.17
U2 0.5811 0.0000 0.5000  5 Rh 3.01-3.09, 2 Sn 3.17
U3 0.0000 0.5811 0.5000  5 Rh 3.01-3.09, 2 Sn 3.17
Sn1 0.7484 0.7484 0.0000  4 Rh 2.75-2.81
Sn2 0.2516 0.0000 0.0000  4 Rh 2.75-2.81
Sn3 0.0000 0.2516 0.0000  4 Rh 2.75-2.81
Rh1 0.6667 0.3333 0.0000  3 Sn 2.81, 6 U 3.01
Rh2 0.3333 0.6667 0.0000  3 Sn 2.81, 6 U 3.01
Rh3 0.0000 0.0000 0.5000  6 Sn 2.75

Output
Space-group type   P-62m

What are the V values for these records? In order: 24.57, 18.60, 21.44, 21.47, 23.79, 19.78, 20.10, 20.76, 18.04, 20.98, 23.08, 21.28 A^3/atom.
What are the energy of formation from the pure elements values for these records? In order: -0.52, -0.78, -0.71, -0.89, -0.54, -0.55, -0.12, -0.91, -0.84, -0.47, -0.21, -0.46 eV/atom.
What are the total energy values for these records? In order: -4.848, -6.621, -5.851, -6.231, -5.352, -6.974, -6.541, -6.189, -6.641, -8.731, -5.983, -8.013 eV/atom.